{
  "formula": "Al",
  "functional": "GGA-PBE",
  "state": "optimized geometry",
  "de_polymorph_ev_per_atom": 0.092,
  "formation_enthalpy_0k_ev_per_atom": 0.092,
  "final_energy_ev_per_cell": -3.65,
  "lattice_angstrom": [[-1.610, 1.610, 1.610], [1.610, -1.610, 1.610], [1.610, 1.610, -1.610]],
  "species": ["Al"],
  "frac_coords": [[0.000, 0.000, 0.000]]
}

***

{
  "formula": "Ca3AlCd17",
  "functional": "GGA-PBE",
  "state": "optimized geometry",
  "formation_enthalpy_0k_ev_per_atom": -0.181,
  "final_energy_ev_per_cell": -234.05,
  "lattice_angstrom": [[11.208, 6.471, 9.141], [-11.208, 6.471, 9.141], [0.000, -12.942, 9.141]],
  "species": ["Ca", "Ca", "Ca", "Ca", "Ca", "Ca", "Ca", "Ca", "Ca", "Ca", "Ca", "Ca", "Ca", "Ca", "Ca", "Ca", "Ca", "Ca", "Ca", "Ca", "Ca", "Ca", "Ca", "Ca", "Al", "Al", "Al", "Al", "Al", "Al", "Al", "Al", "Cd", "Cd", "Cd", "Cd", "Cd", "Cd", "Cd", "Cd", "Cd", "Cd", "Cd", "Cd", "Cd", "Cd", "Cd", "Cd", "Cd", "Cd", "Cd", "Cd", "Cd", "Cd", "Cd", "Cd", "Cd", "Cd", "Cd", "Cd", "Cd", "Cd", "Cd", "Cd", "Cd", "Cd", "Cd", "Cd", "Cd", "Cd", "Cd", "Cd", "Cd", "Cd", "Cd", "Cd", "Cd", "Cd", "Cd", "Cd", "Cd", "Cd", "Cd", "Cd", "Cd", "Cd", "Cd", "Cd", "Cd", "Cd", "Cd", "Cd", "Cd", "Cd", "Cd", "Cd", "Cd", "Cd", "Cd", "Cd", "Cd", "Cd", "Cd", "Cd", "Cd", "Cd", "Cd", "Cd", "Cd", "Cd", "Cd", "Cd", "Cd", "Cd", "Cd", "Cd", "Cd", "Cd", "Cd", "Cd", "Cd", "Cd", "Cd", "Cd", "Cd", "Cd", "Cd", "Cd", "Cd", "Cd", "Cd", "Cd", "Cd", "Cd", "Cd", "Cd", "Cd", "Cd", "Cd", "Cd", "Cd", "Cd", "Cd", "Cd", "Cd", "Cd", "Cd", "Cd", "Cd", "Cd", "Cd", "Cd", "Cd", "Cd", "Cd", "Cd", "Cd", "Cd", "Cd", "Cd", "Cd", "Cd", "Cd", "Cd", "Cd", "Cd", "Cd", "Cd"],
  "frac_coords": [[0.024, 0.536, 0.836], [0.025, 0.138, 0.837], [0.034, 0.336, 0.525], [0.034, 0.337, 0.146], [0.136, 0.836, 0.649], [0.138, 0.837, 0.025], [0.144, 0.639, 0.335], [0.146, 0.034, 0.337], [0.333, 0.522, 0.633], [0.335, 0.144, 0.639], [0.336, 0.525, 0.034], [0.337, 0.146, 0.034], [0.522, 0.633, 0.333], [0.525, 0.034, 0.336], [0.533, 0.832, 0.645], [0.536, 0.836, 0.024], [0.633, 0.333, 0.522], [0.639, 0.335, 0.144], [0.645, 0.533, 0.832], [0.649, 0.136, 0.836], [0.832, 0.645, 0.533], [0.836, 0.024, 0.536], [0.836, 0.649, 0.136], [0.837, 0.025, 0.138], [0.280, 0.280, 0.280], [0.282, 0.403, 0.410], [0.403, 0.410, 0.282], [0.410, 0.282, 0.403], [0.759, 0.759, 0.759], [0.768, 0.829, 0.917], [0.829, 0.917, 0.768], [0.917, 0.768, 0.829], [0.000, 0.000, 0.000], [0.023, 0.836, 0.334], [0.029, 0.722, 0.495], [0.032, 0.721, 0.172], [0.032, 0.952, 0.499], [0.034, 0.952, 0.177], [0.055, 0.923, 0.839], [0.089, 0.740, 0.836], [0.105, 0.429, 0.336], [0.107, 0.244, 0.336], [0.135, 0.451, 0.679], [0.137, 0.218, 0.678], [0.137, 0.450, 0.995], [0.138, 0.220, 0.995], [0.148, 0.335, 0.836], [0.166, 0.504, 0.503], [0.172, 0.032, 0.721], [0.172, 0.172, 0.172], [0.173, 0.497, 0.174], [0.174, 0.173, 0.497], [0.176, 0.633, 0.959], [0.177, 0.034, 0.952], [0.177, 0.837, 0.432], [0.178, 0.633, 0.715], [0.179, 0.836, 0.240], [0.215, 0.681, 0.534], [0.218, 0.678, 0.137], [0.218, 0.995, 0.536], [0.220, 0.995, 0.138], [0.239, 0.493, 0.837], [0.240, 0.179, 0.836], [0.240, 0.333, 0.571], [0.243, 0.845, 0.836], [0.244, 0.336, 0.107], [0.330, 0.334, 0.742], [0.332, 0.577, 0.427], [0.332, 0.650, 0.835], [0.333, 0.571, 0.240], [0.334, 0.023, 0.836], [0.334, 0.335, 0.933], [0.334, 0.740, 0.677], [0.334, 0.742, 0.330], [0.334, 0.836, 0.520], [0.334, 0.930, 0.679], [0.335, 0.741, 0.990], [0.335, 0.836, 0.148], [0.335, 0.933, 0.334], [0.336, 0.105, 0.429], [0.336, 0.107, 0.244], [0.337, 0.932, 0.992], [0.427, 0.332, 0.577], [0.429, 0.336, 0.105], [0.429, 0.491, 0.834], [0.432, 0.177, 0.837], [0.435, 0.841, 0.835], [0.450, 0.995, 0.137], [0.451, 0.679, 0.135], [0.451, 0.991, 0.536], [0.452, 0.675, 0.533], [0.487, 0.635, 0.720], [0.489, 0.489, 0.489], [0.491, 0.834, 0.429], [0.493, 0.636, 0.951], [0.493, 0.837, 0.239], [0.495, 0.029, 0.722], [0.497, 0.174, 0.173], [0.499, 0.032, 0.952], [0.503, 0.166, 0.504], [0.504, 0.503, 0.166], [0.520, 0.334, 0.836], [0.533, 0.452, 0.675], [0.534, 0.215, 0.681], [0.536, 0.218, 0.995], [0.536, 0.451, 0.991], [0.571, 0.240, 0.333], [0.577, 0.427, 0.332], [0.598, 0.739, 0.835], [0.615, 0.924, 0.833], [0.633, 0.715, 0.178], [0.633, 0.959, 0.176], [0.635, 0.720, 0.487], [0.636, 0.951, 0.493], [0.650, 0.835, 0.332], [0.659, 0.659, 0.659], [0.673, 0.675, 0.998], [0.675, 0.533, 0.452], [0.675, 0.998, 0.673], [0.677, 0.334, 0.740], [0.678, 0.137, 0.218], [0.679, 0.135, 0.451], [0.679, 0.334, 0.930], [0.680, 0.991, 0.995], [0.681, 0.534, 0.215], [0.715, 0.178, 0.633], [0.720, 0.487, 0.635], [0.721, 0.172, 0.032], [0.722, 0.495, 0.029], [0.739, 0.835, 0.598], [0.740, 0.677, 0.334], [0.740, 0.836, 0.089], [0.741, 0.990, 0.335], [0.742, 0.330, 0.334], [0.833, 0.615, 0.924], [0.834, 0.429, 0.491], [0.835, 0.332, 0.650], [0.835, 0.435, 0.841], [0.835, 0.598, 0.739], [0.836, 0.089, 0.740], [0.836, 0.148, 0.335], [0.836, 0.240, 0.179], [0.836, 0.243, 0.845], [0.836, 0.334, 0.023], [0.836, 0.520, 0.334], [0.837, 0.239, 0.493], [0.837, 0.432, 0.177], [0.839, 0.055, 0.923], [0.841, 0.835, 0.435], [0.845, 0.836, 0.243], [0.923, 0.839, 0.055], [0.924, 0.833, 0.615], [0.930, 0.679, 0.334], [0.932, 0.992, 0.337], [0.933, 0.334, 0.335], [0.951, 0.493, 0.636], [0.952, 0.177, 0.034], [0.952, 0.499, 0.032], [0.959, 0.176, 0.633], [0.990, 0.335, 0.741], [0.991, 0.536, 0.451], [0.991, 0.995, 0.680], [0.992, 0.337, 0.932], [0.995, 0.137, 0.450], [0.995, 0.138, 0.220], [0.995, 0.536, 0.218], [0.995, 0.680, 0.991], [0.998, 0.673, 0.675]]
}